Record 1
Here is a relaxed structure of Na4Al3Ge3O13 from Materials Project. Energies are from PBE-GGA. Values from VASP.

Quantum ESPRESSO input file:
```
&SYSTEM
  ibrav = 0, nat = 46, ntyp = 4
/
ATOMIC_SPECIES
Na 22.99 Na.upf
Al 26.98 Al.upf
Ge 72.64 Ge.upf
O 16.00 O.upf
CELL_PARAMETERS angstrom
-9.010 1.298 -0.063
-1.340 -8.848 1.669
0.116 1.617 8.958
ATOMIC_POSITIONS crystal
Na 0.318 0.318 0.318
Na 0.349 0.666 0.666
Na 0.666 0.349 0.666
Na 0.666 0.666 0.349
Na 0.166 0.849 0.166
Na 0.849 0.166 0.166
Na 0.818 0.818 0.818
Na 0.166 0.166 0.849
Al 0.251 0.503 0.000
Al 0.503 0.000 0.251
Al 0.000 0.251 0.503
Al 0.500 0.003 0.751
Al 0.003 0.751 0.500
Al 0.751 0.500 0.003
Ge 0.251 0.000 0.503
Ge 0.000 0.503 0.251
Ge 0.503 0.251 0.000
Ge 0.003 0.500 0.751
Ge 0.500 0.751 0.003
Ge 0.751 0.003 0.500
O 0.361 0.360 0.076
O 0.360 0.076 0.361
O 0.076 0.361 0.360
O 0.358 0.647 0.925
O 0.357 0.925 0.646
O 0.079 0.643 0.643
O 0.646 0.357 0.925
O 0.643 0.079 0.643
O 0.925 0.358 0.647
O 0.643 0.643 0.079
O 0.647 0.925 0.358
O 0.925 0.646 0.357
O 0.425 0.857 0.146
O 0.143 0.579 0.143
O 0.147 0.858 0.425
O 0.579 0.143 0.143
O 0.858 0.425 0.147
O 0.857 0.146 0.425
O 0.576 0.860 0.861
O 0.861 0.576 0.860
O 0.860 0.861 0.576
O 0.425 0.147 0.858
O 0.146 0.425 0.857
O 0.143 0.143 0.579
O 0.047 0.047 0.047
O 0.547 0.547 0.547
```

Results
The corrected total energy (MP2020 scheme) is -6.62 eV/atom.

=====

Record 2
Here is a relaxed structure of Rb2Hf2O5 from Materials Project. Energies are from PBE-GGA. Values from VASP.

Quantum ESPRESSO input file:
```
&SYSTEM
  ibrav = 0, nat = 9, ntyp = 3
/
ATOMIC_SPECIES
Rb 85.47 Rb.upf
Hf 178.49 Hf.upf
O 16.00 O.upf
CELL_PARAMETERS angstrom
-3.761 0.565 -1.427
-1.384 -2.881 2.507
-1.491 6.314 6.434
ATOMIC_POSITIONS crystal
Rb 0.000 0.000 0.000
Rb 0.000 0.000 0.500
Hf 0.500 0.500 0.280
Hf 0.500 0.500 0.720
O 0.500 0.000 0.235
O 0.500 0.000 0.765
O 0.500 0.500 0.500
O 0.000 0.500 0.235
O 0.000 0.500 0.765
```

Results
The corrected total energy (MP2020 scheme) is -8.32 eV/atom.

=====

Record 3
Here is a relaxed structure of TiPd from Materials Project. Energies are from PBE-GGA. Values from VASP.

Quantum ESPRESSO input file:
```
&SYSTEM
  ibrav = 0, nat = 2, ntyp = 2
/
ATOMIC_SPECIES
Ti 47.87 Ti.upf
Pd 106.42 Pd.upf
CELL_PARAMETERS angstrom
-0.320 1.030 -2.629
-2.133 -1.822 -0.455
-2.521 2.618 1.333
ATOMIC_POSITIONS crystal
Ti 0.000 0.000 0.000
Pd 0.500 0.500 0.500
```

=====

Record 4
Here is a relaxed structure of MgAs2S2O4F12 from Materials Project. Energies are from PBE-GGA. Values from VASP.

Quantum ESPRESSO input file:
```
&SYSTEM
  ibrav = 0, nat = 84, ntyp = 5
/
ATOMIC_SPECIES
Mg 24.30 Mg.upf
As 74.92 As.upf
S 32.06 S.upf
O 16.00 O.upf
F 19.00 F.upf
CELL_PARAMETERS angstrom
10.688 0.000 0.000
0.000 10.384 0.000
0.000 0.265 12.624
ATOMIC_POSITIONS crystal
Mg 0.770 0.244 0.254
Mg 0.270 0.256 0.246
Mg 0.230 0.756 0.746
Mg 0.730 0.744 0.754
As 0.487 0.991 0.691
As 0.513 0.009 0.309
As 0.475 0.487 0.742
As 0.975 0.013 0.758
As 0.013 0.491 0.191
As 0.987 0.509 0.809
As 0.525 0.513 0.258
As 0.025 0.987 0.242
S 0.227 0.699 0.476
S 0.191 0.266 0.509
S 0.309 0.766 0.009
S 0.809 0.734 0.491
S 0.273 0.199 0.976
S 0.773 0.301 0.524
S 0.727 0.801 0.024
S 0.691 0.234 0.991
O 0.770 0.237 0.422
O 0.270 0.263 0.078
O 0.442 0.778 0.992
O 0.232 0.754 0.914
O 0.226 0.560 0.479
O 0.230 0.763 0.578
O 0.726 0.940 0.021
O 0.774 0.440 0.521
O 0.732 0.746 0.586
O 0.274 0.060 0.979
O 0.942 0.722 0.508
O 0.268 0.254 0.414
O 0.558 0.222 0.008
O 0.058 0.278 0.492
O 0.730 0.737 0.922
O 0.768 0.246 0.086
F 0.511 0.483 0.394
F 0.489 0.083 0.805
F 0.373 0.089 0.631
F 0.862 0.605 0.745
F 0.016 0.381 0.088
F 0.011 0.583 0.305
F 0.408 0.631 0.259
F 0.403 0.119 0.240
F 0.863 0.879 0.754
F 0.614 0.075 0.636
F 0.638 0.105 0.245
F 0.989 0.983 0.894
F 0.484 0.881 0.588
F 0.886 0.575 0.136
F 0.352 0.379 0.725
F 0.592 0.369 0.741
F 0.462 0.478 0.880
F 0.096 0.889 0.739
F 0.989 0.417 0.695
F 0.516 0.119 0.412
F 0.873 0.411 0.869
F 0.137 0.121 0.246
F 0.097 0.619 0.740
F 0.597 0.881 0.760
F 0.904 0.111 0.261
F 0.362 0.895 0.755
F 0.648 0.621 0.275
F 0.538 0.522 0.120
F 0.852 0.121 0.775
F 0.903 0.381 0.260
F 0.038 0.978 0.380
F 0.596 0.611 0.761
F 0.984 0.619 0.912
F 0.127 0.589 0.131
F 0.148 0.879 0.225
F 0.637 0.379 0.254
F 0.011 0.017 0.106
F 0.404 0.389 0.239
F 0.489 0.517 0.606
F 0.908 0.869 0.241
F 0.386 0.925 0.364
F 0.114 0.425 0.864
F 0.511 0.917 0.195
F 0.138 0.395 0.255
F 0.363 0.621 0.746
F 0.092 0.131 0.759
F 0.962 0.022 0.620
F 0.627 0.911 0.369
```

Results
The corrected total energy (MP2020 scheme) is -5.33 eV/atom.

=====

Record 5
Here is a relaxed structure of Lu2H16S3O20 from Materials Project. Energies are from PBE-GGA. Values from VASP.

Quantum ESPRESSO input file:
```
&SYSTEM
  ibrav = 0, nat = 82, ntyp = 4
/
ATOMIC_SPECIES
Lu 174.97 Lu.upf
H 1.01 H.upf
S 32.06 S.upf
O 16.00 O.upf
CELL_PARAMETERS angstrom
0.000 -6.649 0.000
-6.884 3.325 0.000
4.206 0.000 -17.938
ATOMIC_POSITIONS crystal
Lu 0.147 0.336 0.393
Lu 0.810 0.664 0.107
Lu 0.853 0.664 0.607
Lu 0.190 0.336 0.893
H 0.494 0.706 0.482
H 0.789 0.294 0.018
H 0.506 0.294 0.518
H 0.211 0.706 0.982
H 0.279 0.744 0.488
H 0.535 0.256 0.012
H 0.721 0.256 0.512
H 0.465 0.744 0.988
H 0.201 0.441 0.248
H 0.760 0.559 0.252
H 0.799 0.559 0.752
H 0.240 0.441 0.748
H 0.371 0.642 0.305
H 0.728 0.358 0.195
H 0.629 0.358 0.695
H 0.272 0.642 0.805
H 0.692 0.018 0.393
H 0.674 0.982 0.107
H 0.308 0.982 0.607
H 0.326 0.018 0.893
H 0.836 0.995 0.456
H 0.841 0.005 0.044
H 0.164 0.005 0.544
H 0.159 0.995 0.956
H 0.052 0.906 0.357
H 0.147 0.094 0.143
H 0.948 0.094 0.643
H 0.853 0.906 0.857
H 0.311 0.029 0.346
H 0.281 0.971 0.154
H 0.689 0.971 0.654
H 0.719 0.029 0.846
S 0.247 0.442 0.588
S 0.805 0.558 0.912
S 0.753 0.558 0.412
S 0.195 0.442 0.088
S 0.691 0.000 0.250
S 0.309 0.000 0.750
O 0.225 0.306 0.513
O 0.919 0.694 0.987
O 0.775 0.694 0.487
O 0.081 0.306 0.013
O 0.481 0.601 0.604
O 0.880 0.399 0.896
O 0.519 0.399 0.396
O 0.120 0.601 0.104
O 0.093 0.533 0.583
O 0.561 0.467 0.917
O 0.907 0.467 0.417
O 0.439 0.533 0.083
O 0.191 0.324 0.645
O 0.868 0.676 0.855
O 0.809 0.676 0.355
O 0.132 0.324 0.145
O 0.904 0.165 0.290
O 0.739 0.835 0.210
O 0.096 0.835 0.710
O 0.261 0.165 0.790
O 0.528 0.929 0.305
O 0.599 0.071 0.195
O 0.472 0.071 0.695
O 0.401 0.929 0.805
O 0.352 0.676 0.454
O 0.676 0.324 0.046
O 0.648 0.324 0.546
O 0.324 0.676 0.954
O 0.264 0.502 0.301
O 0.762 0.498 0.199
O 0.736 0.498 0.699
O 0.238 0.502 0.801
O 0.811 0.094 0.436
O 0.716 0.906 0.064
O 0.189 0.906 0.564
O 0.284 0.094 0.936
O 0.179 0.041 0.366
O 0.138 0.959 0.134
O 0.821 0.959 0.634
O 0.862 0.041 0.866
```

Results
The corrected total energy (MP2020 scheme) is -6.10 eV/atom. The value obtained for the excess energy over the best structure of this formula in the dataset is 0 meV per atom.

=====

Record 6
Here is a relaxed structure of RbAgSe4 from Materials Project. Energies are from PBE-GGA. Values from VASP.

Quantum ESPRESSO input file:
```
&SYSTEM
  ibrav = 0, nat = 24, ntyp = 3
/
ATOMIC_SPECIES
Rb 85.47 Rb.upf
Ag 107.87 Ag.upf
Se 78.96 Se.upf
CELL_PARAMETERS angstrom
-2.933 1.596 4.868
-7.837 -3.235 -3.661
2.509 -12.382 5.570
ATOMIC_POSITIONS crystal
Rb 0.182 0.440 0.160
Rb 0.682 0.060 0.840
Rb 0.818 0.940 0.340
Rb 0.318 0.560 0.660
Ag 0.964 0.869 0.066
Ag 0.464 0.631 0.934
Ag 0.036 0.369 0.434
Ag 0.536 0.131 0.566
Se 0.874 0.308 0.610
Se 0.374 0.192 0.390
Se 0.126 0.808 0.890
Se 0.626 0.692 0.110
Se 0.136 0.133 0.674
Se 0.636 0.367 0.326
Se 0.864 0.633 0.826
Se 0.364 0.867 0.174
Se 0.813 0.133 0.104
Se 0.313 0.367 0.896
Se 0.187 0.633 0.396
Se 0.687 0.867 0.604
Se 0.424 0.081 0.075
Se 0.924 0.419 0.925
Se 0.576 0.581 0.425
Se 0.076 0.919 0.575
```

Results
The corrected total energy (MP2020 scheme) is -3.66 eV/atom.

=====

Computed total energy (eV/f.u.) in order:
-143.34; -71.42; -14.14; -103.65; -236.37; -20.10
Computed energy of formation (eV/f.u.) in order:
-57.56; -28.24; -1.06; -49.98; -75.42; -4.19